# NaCdF3 (meta-GGA r2SCAN, relaxed)
# Volume: 14.2 A^3/atom
# ΔH_f (0 K): -13.2 eV/f.u.
# Magnetization: 0.0 Bohr magnetons per cell
# Crystal system: trigonal
# Calculated total energy: -277.347 eV/cell
data_NaCdF3
_cell_length_a 5.7262
_cell_length_b 5.7262
_cell_length_c 14.9765
_cell_angle_alpha 90.00
_cell_angle_beta 90.00
_cell_angle_gamma 120.00
_symmetry_space_group_name_H-M 'R 3 c'
_symmetry_Int_Tables_number 161
_symmetry_space_group_name_Hall 'R 3 -2"c'
loop_
_atom_site_label
_atom_site_fract_x
_atom_site_fract_y
_atom_site_fract_z
Na1 0.0000 0.0000 0.0000
Cd1 0.0000 0.0000 0.2890
F1 0.0098 0.3009 0.3910


# Lu2CuAu (meta-GGA r2SCAN, relaxed)
# Volume: 20.3 A^3/atom
# ΔH_f (0 K): -2.6 eV/f.u.
# Magnetization: 0.0 Bohr magnetons per cell
# Crystal system: cubic
# Calculated total energy: -560.791 eV/cell
data_Lu2CuAu
_cell_length_a 6.869
_cell_length_b 6.869
_cell_length_c 6.869
_cell_angle_alpha 90.00
_cell_angle_beta 90.00
_cell_angle_gamma 90.00
_symmetry_space_group_name_H-M 'F m -3 m'
_symmetry_Int_Tables_number 225
_symmetry_space_group_name_Hall '-F 4 2 3'
loop_
_atom_site_label
_atom_site_fract_x
_atom_site_fract_y
_atom_site_fract_z
Lu1 0.250 0.250 0.250
Cu1 0.000 0.000 0.000
Au1 0.000 0.000 0.500


# SiO2 (meta-GGA r2SCAN, relaxed)
# Volume: 16.1 A^3/atom
# ΔH_f (0 K): -9.1 eV/f.u.
# Magnetization: 0.0 Bohr magnetons per cell
# Crystal system: monoclinic
# Calculated total energy: -476.711 eV/cell
data_SiO2
_cell_length_a 8.823
_cell_length_b 8.476
_cell_length_c 10.341
_cell_angle_alpha 90.00
_cell_angle_beta 90.00
_cell_angle_gamma 90.00
_symmetry_space_group_name_H-M 'P 1 c 1'
_symmetry_Int_Tables_number 7
_symmetry_space_group_name_Hall 'P -2yc'
loop_
_atom_site_label
_atom_site_fract_x
_atom_site_fract_y
_atom_site_fract_z
Si1 0.000 0.066 0.000
Si2 0.000 0.433 0.000
Si3 0.172 0.066 0.262
Si4 0.172 0.433 0.262
Si5 0.500 0.067 0.797
Si6 0.500 0.434 0.797
Si7 0.672 0.067 0.535
Si8 0.672 0.434 0.536
O1 0.032 0.250 0.968
O2 0.057 0.040 0.380
O3 0.060 0.460 0.383
O4 0.087 0.484 0.131
O5 0.091 0.015 0.129
O6 0.220 0.250 0.255
O7 0.320 0.041 0.781
O8 0.321 0.460 0.777
O9 0.532 0.250 0.829
O10 0.557 0.460 0.417
O11 0.561 0.040 0.414
O12 0.585 0.017 0.666
O13 0.590 0.485 0.668
O14 0.720 0.250 0.542
O15 0.821 0.040 0.020
O16 0.821 0.459 0.017


# EuCd2P2 (meta-GGA r2SCAN, relaxed)
# Volume: 23.3 A^3/atom
# ΔH_f (0 K): -3.7 eV/f.u.
# Magnetization: 7.0 Bohr magnetons per cell
# Crystal system: trigonal
# Calculated total energy: -100.423 eV/cell
data_EuCd2P2
_cell_length_a 4.3397
_cell_length_b 4.3397
_cell_length_c 7.1326
_cell_angle_alpha 90.00
_cell_angle_beta 90.00
_cell_angle_gamma 120.00
_symmetry_space_group_name_H-M 'P -3 m 1'
_symmetry_Int_Tables_number 164
_symmetry_space_group_name_Hall '-P 3 2"'
loop_
_atom_site_label
_atom_site_fract_x
_atom_site_fract_y
_atom_site_fract_z
Eu1 0.0000 0.0000 0.0000
Cd1 0.3333 0.6667 0.6384
P1 0.3333 0.6667 0.2470


# Er3AlN (meta-GGA r2SCAN, relaxed)
# Volume: 20.6 A^3/atom
# ΔH_f (0 K): -5.5 eV/f.u.
# Magnetization: 0.0 Bohr magnetons per cell
# Crystal system: cubic
# Calculated total energy: -123.159 eV/cell
data_Er3AlN
_cell_length_a 4.687
_cell_length_b 4.687
_cell_length_c 4.687
_cell_angle_alpha 90.00
_cell_angle_beta 90.00
_cell_angle_gamma 90.00
_symmetry_space_group_name_H-M 'P m -3 m'
_symmetry_Int_Tables_number 221
_symmetry_space_group_name_Hall '-P 4 2 3'
loop_
_atom_site_label
_atom_site_fract_x
_atom_site_fract_y
_atom_site_fract_z
Er1 0.000 0.000 0.500
Al1 0.500 0.500 0.500
N1 0.000 0.000 0.000


# LuOs2 (meta-GGA r2SCAN, relaxed)
# Volume: 17.3 A^3/atom
# ΔH_f (0 K): -1.4 eV/f.u.
# Magnetization: 0.0 Bohr magnetons per cell
# Crystal system: hexagonal
# Calculated total energy: -581.867 eV/cell
data_LuOs2
_cell_length_a 5.2351
_cell_length_b 5.2351
_cell_length_c 8.7613
_cell_angle_alpha 90.00
_cell_angle_beta 90.00
_cell_angle_gamma 120.00
_symmetry_space_group_name_H-M 'P 63/m m c'
_symmetry_Int_Tables_number 194
_symmetry_space_group_name_Hall '-P 6c 2c'
loop_
_atom_site_label
_atom_site_fract_x
_atom_site_fract_y
_atom_site_fract_z
Lu1 0.3333 0.6667 0.0663
Os1 0.0000 0.0000 0.0000
Os2 0.1722 0.3444 0.7500


# Eu2AgPb (meta-GGA r2SCAN, relaxed)
# Volume: 29.7 A^3/atom
# ΔH_f (0 K): -2.1 eV/f.u.
# Magnetization: 55.2 Bohr magnetons per cell
# Crystal system: cubic
# Calculated total energy: -627.295 eV/cell
data_Eu2AgPb
_cell_length_a 7.806
_cell_length_b 7.806
_cell_length_c 7.806
_cell_angle_alpha 90.00
_cell_angle_beta 90.00
_cell_angle_gamma 90.00
_symmetry_space_group_name_H-M 'F m -3 m'
_symmetry_Int_Tables_number 225
_symmetry_space_group_name_Hall '-F 4 2 3'
loop_
_atom_site_label
_atom_site_fract_x
_atom_site_fract_y
_atom_site_fract_z
Eu1 0.250 0.250 0.250
Ag1 0.000 0.000 0.000
Pb1 0.000 0.000 0.500


# Rb2TcI6 (meta-GGA r2SCAN, relaxed)
# Volume: 41.8 A^3/atom
# ΔH_f (0 K): -8.5 eV/f.u.
# Magnetization: 12.0 Bohr magnetons per cell
# Crystal system: cubic
# Calculated total energy: -838.593 eV/cell
data_Rb2TcI6
_cell_length_a 11.458
_cell_length_b 11.458
_cell_length_c 11.458
_cell_angle_alpha 90.00
_cell_angle_beta 90.00
_cell_angle_gamma 90.00
_symmetry_space_group_name_H-M 'F m -3 m'
_symmetry_Int_Tables_number 225
_symmetry_space_group_name_Hall '-F 4 2 3'
loop_
_atom_site_label
_atom_site_fract_x
_atom_site_fract_y
_atom_site_fract_z
Rb1 0.250 0.250 0.250
Tc1 0.000 0.000 0.000
I1 0.000 0.000 0.240


# HoHSe (meta-GGA r2SCAN, relaxed)
# Volume: 16.3 A^3/atom
# ΔH_f (0 K): -5.0 eV/f.u.
# Magnetization: 0.0 Bohr magnetons per cell
# Crystal system: hexagonal
# Calculated total energy: -55.613 eV/cell
data_HoHSe
_cell_length_a 3.8092
_cell_length_b 3.8092
_cell_length_c 3.8874
_cell_angle_alpha 90.00
_cell_angle_beta 90.00
_cell_angle_gamma 120.00
_symmetry_space_group_name_H-M 'P -6 m 2'
_symmetry_Int_Tables_number 187
_symmetry_space_group_name_Hall 'P -6 2'
loop_
_atom_site_label
_atom_site_fract_x
_atom_site_fract_y
_atom_site_fract_z
Ho1 0.0000 0.0000 0.0000
H1 0.6667 0.3333 0.0000
Se1 0.3333 0.6667 0.5000


# Sr5Ca3Mn6Fe2O24 (meta-GGA r2SCAN, relaxed)
# Volume: 10.9 A^3/atom
# ΔH_f (0 K): -100.4 eV/f.u.
# Magnetization: 26.0 Bohr magnetons per cell
# Crystal system: monoclinic
# Calculated total energy: -457.470 eV/cell
data_Sr5Ca3Mn6Fe2O24
_cell_length_a 7.575
_cell_length_b 7.567
_cell_length_c 7.577
_cell_angle_alpha 90.00
_cell_angle_beta 90.00
_cell_angle_gamma 90.00
_symmetry_space_group_name_H-M 'P 1 m 1'
_symmetry_Int_Tables_number 6
_symmetry_space_group_name_Hall 'P -2y'
loop_
_atom_site_label
_atom_site_fract_x
_atom_site_fract_y
_atom_site_fract_z
Sr1 0.000 0.000 0.000
Sr2 0.000 0.000 0.498
Sr3 0.000 0.500 0.000
Sr4 0.000 0.500 0.498
Sr5 0.498 0.000 0.000
Ca1 0.497 0.000 0.497
Ca2 0.497 0.500 0.001
Ca3 0.497 0.500 0.497
Mn1 0.251 0.251 0.250
Mn2 0.251 0.251 0.748
Mn3 0.746 0.251 0.250
Fe1 0.746 0.251 0.748
O1 0.000 0.251 0.250
O2 0.254 0.000 0.746
O3 0.255 0.000 0.253
O4 0.255 0.253 0.000
O5 0.257 0.251 0.499
O6 0.257 0.500 0.250
O7 0.257 0.500 0.748
O8 0.500 0.253 0.253
O9 0.501 0.252 0.747
O10 0.743 0.500 0.250
O11 0.744 0.251 0.500
O12 0.744 0.500 0.749
O13 0.745 0.000 0.253
O14 0.745 0.253 0.999
O15 0.746 0.000 0.747
O16 0.999 0.251 0.749


# Ni8Ge2B3 (meta-GGA r2SCAN, relaxed)
# Volume: 9.8 A^3/atom
# ΔH_f (0 K): -3.9 eV/f.u.
# Magnetization: 0.0 Bohr magnetons per cell
# Crystal system: orthorhombic
# Calculated total energy: -299.099 eV/cell
data_Ni8Ge2B3
_cell_length_a 2.932
_cell_length_b 14.518
_cell_length_c 6.012
_cell_angle_alpha 90.00
_cell_angle_beta 90.00
_cell_angle_gamma 90.00
_symmetry_space_group_name_H-M 'P m m n'
_symmetry_Int_Tables_number 59
loop_
_symmetry_equiv_pos_as_xyz
'x,y,z'
'-x,-y,-z'
'-x+1/2,-y+1/2,z'
'x+1/2,y+1/2,-z'
'x+1/2,-y,-z'
'-x+1/2,y,z'
'-x,y+1/2,-z'
'x,-y+1/2,z'
loop_
_atom_site_label
_atom_site_fract_x
_atom_site_fract_y
_atom_site_fract_z
Ni1 0.250 0.023 0.200
Ni2 0.250 0.105 0.634
Ni3 0.250 0.250 0.076
Ni4 0.250 0.663 0.659
Ni5 0.250 0.750 0.298
Ge1 0.250 0.626 0.038
B1 0.250 0.250 0.457
B2 0.250 0.533 0.540


# ZrTi2Ga4 (meta-GGA r2SCAN, relaxed)
# Volume: 16.5 A^3/atom
# ΔH_f (0 K): -4.1 eV/f.u.
# Magnetization: 0.0 Bohr magnetons per cell
# Crystal system: tetragonal
# Calculated total energy: -196.950 eV/cell
data_ZrTi2Ga4
_cell_length_a 6.524
_cell_length_b 6.524
_cell_length_c 5.443
_cell_angle_alpha 90.00
_cell_angle_beta 90.00
_cell_angle_gamma 90.00
_symmetry_space_group_name_H-M 'I 4/m m m'
_symmetry_Int_Tables_number 139
_symmetry_space_group_name_Hall '-I 4 2'
loop_
_atom_site_label
_atom_site_fract_x
_atom_site_fract_y
_atom_site_fract_z
Zr1 0.000 0.000 0.000
Ti1 0.000 0.500 0.250
Ga1 0.195 0.195 0.500


# Dy3InN (meta-GGA r2SCAN, relaxed)
# Volume: 22.0 A^3/atom
# ΔH_f (0 K): -6.0 eV/f.u.
# Magnetization: 0.0 Bohr magnetons per cell
# Crystal system: cubic
# Calculated total energy: -133.669 eV/cell
data_Dy3InN
_cell_length_a 4.792
_cell_length_b 4.792
_cell_length_c 4.792
_cell_angle_alpha 90.00
_cell_angle_beta 90.00
_cell_angle_gamma 90.00
_symmetry_space_group_name_H-M 'P m -3 m'
_symmetry_Int_Tables_number 221
_symmetry_space_group_name_Hall '-P 4 2 3'
loop_
_atom_site_label
_atom_site_fract_x
_atom_site_fract_y
_atom_site_fract_z
Dy1 0.000 0.000 0.500
In1 0.500 0.500 0.500
N1 0.000 0.000 0.000


# PrIn5Ir (meta-GGA r2SCAN, relaxed)
# Volume: 23.9 A^3/atom
# ΔH_f (0 K): -3.7 eV/f.u.
# Magnetization: 0.0 Bohr magnetons per cell
# Crystal system: tetragonal
# Calculated total energy: -198.339 eV/cell
data_PrIn5Ir
_cell_length_a 4.690
_cell_length_b 4.690
_cell_length_c 7.599
_cell_angle_alpha 90.00
_cell_angle_beta 90.00
_cell_angle_gamma 90.00
_symmetry_space_group_name_H-M 'P 4/m m m'
_symmetry_Int_Tables_number 123
_symmetry_space_group_name_Hall '-P 4 2'
loop_
_atom_site_label
_atom_site_fract_x
_atom_site_fract_y
_atom_site_fract_z
Pr1 0.000 0.000 0.000
In1 0.000 0.500 0.306
In2 0.500 0.500 0.000
Ir1 0.000 0.000 0.500


# Cs3ZnH5 (meta-GGA r2SCAN, relaxed)
# Volume: 23.1 A^3/atom
# ΔH_f (0 K): -2.8 eV/f.u.
# Magnetization: 0.0 Bohr magnetons per cell
# Crystal system: tetragonal
# Calculated total energy: -417.416 eV/cell
data_Cs3ZnH5
_cell_length_a 8.248
_cell_length_b 8.248
_cell_length_c 12.213
_cell_angle_alpha 90.00
_cell_angle_beta 90.00
_cell_angle_gamma 90.00
_symmetry_space_group_name_H-M 'I 4/m c m'
_symmetry_Int_Tables_number 140
_symmetry_space_group_name_Hall '-I 4 2c'
loop_
_atom_site_label
_atom_site_fract_x
_atom_site_fract_y
_atom_site_fract_z
Cs1 0.000 0.000 0.250
Cs2 0.179 0.321 0.000
Zn1 0.000 0.500 0.250
H1 0.000 0.000 0.000
H2 0.115 0.385 0.330


# Pr3Pt4 (meta-GGA r2SCAN, relaxed)
# Volume: 22.8 A^3/atom
# ΔH_f (0 K): -8.2 eV/f.u.
# Magnetization: 0.0 Bohr magnetons per cell
# Crystal system: trigonal
# Calculated total energy: -1813.943 eV/cell
data_Pr3Pt4
_cell_length_a 13.7861
_cell_length_b 13.7861
_cell_length_c 5.8207
_cell_angle_alpha 90.00
_cell_angle_beta 90.00
_cell_angle_gamma 120.00
_symmetry_space_group_name_H-M 'R -3'
_symmetry_Int_Tables_number 148
_symmetry_space_group_name_Hall '-R 3'
loop_
_atom_site_label
_atom_site_fract_x
_atom_site_fract_y
_atom_site_fract_z
Pr1 0.0437 0.2090 0.2397
Pt1 0.0000 0.0000 0.0000
Pt2 0.0000 0.0000 0.5000
Pt3 0.0541 0.4454 0.3877


# SbAs (meta-GGA r2SCAN, relaxed)
# Volume: 26.6 A^3/atom
# ΔH_f (0 K): 0.0 eV/f.u.
# Magnetization: 0.0 Bohr magnetons per cell
# Crystal system: trigonal
# Calculated total energy: -121.249 eV/cell
data_SbAs
_cell_length_a 4.0654
_cell_length_b 4.0654
_cell_length_c 11.1498
_cell_angle_alpha 90.00
_cell_angle_beta 90.00
_cell_angle_gamma 120.00
_symmetry_space_group_name_H-M 'R 3 m'
_symmetry_Int_Tables_number 160
_symmetry_space_group_name_Hall 'R 3 -2"'
loop_
_atom_site_label
_atom_site_fract_x
_atom_site_fract_y
_atom_site_fract_z
Sb1 0.0000 0.0000 0.0000
As1 0.0000 0.0000 0.5418


# Pm2MgTl (meta-GGA r2SCAN, relaxed)
# Volume: 28.7 A^3/atom
# ΔH_f (0 K): -1.3 eV/f.u.
# Magnetization: 0.0 Bohr magnetons per cell
# Crystal system: cubic
# Calculated total energy: -471.015 eV/cell
data_Pm2MgTl
_cell_length_a 7.715
_cell_length_b 7.715
_cell_length_c 7.715
_cell_angle_alpha 90.00
_cell_angle_beta 90.00
_cell_angle_gamma 90.00
_symmetry_space_group_name_H-M 'F m -3 m'
_symmetry_Int_Tables_number 225
_symmetry_space_group_name_Hall '-F 4 2 3'
loop_
_atom_site_label
_atom_site_fract_x
_atom_site_fract_y
_atom_site_fract_z
Pm1 0.250 0.250 0.250
Mg1 0.000 0.000 0.000
Tl1 0.000 0.000 0.500


# PmDyRu2 (meta-GGA r2SCAN, relaxed)
# Volume: 20.1 A^3/atom
# ΔH_f (0 K): -1.0 eV/f.u.
# Magnetization: 0.0 Bohr magnetons per cell
# Crystal system: cubic
# Calculated total energy: -453.553 eV/cell
data_PmDyRu2
_cell_length_a 6.852
_cell_length_b 6.852
_cell_length_c 6.852
_cell_angle_alpha 90.00
_cell_angle_beta 90.00
_cell_angle_gamma 90.00
_symmetry_space_group_name_H-M 'F m -3 m'
_symmetry_Int_Tables_number 225
_symmetry_space_group_name_Hall '-F 4 2 3'
loop_
_atom_site_label
_atom_site_fract_x
_atom_site_fract_y
_atom_site_fract_z
Pm1 0.000 0.000 0.000
Dy1 0.000 0.000 0.500
Ru1 0.250 0.250 0.250


# CeMg3 (meta-GGA r2SCAN, relaxed)
# Volume: 25.1 A^3/atom
# ΔH_f (0 K): -0.2 eV/f.u.
# Magnetization: 4.7 Bohr magnetons per cell
# Crystal system: cubic
# Calculated total energy: -174.268 eV/cell
data_CeMg3
_cell_length_a 7.375
_cell_length_b 7.375
_cell_length_c 7.375
_cell_angle_alpha 90.00
_cell_angle_beta 90.00
_cell_angle_gamma 90.00
_symmetry_space_group_name_H-M 'F m -3 m'
_symmetry_Int_Tables_number 225
_symmetry_space_group_name_Hall '-F 4 2 3'
loop_
_atom_site_label
_atom_site_fract_x
_atom_site_fract_y
_atom_site_fract_z
Ce1 0.000 0.000 0.000
Mg1 0.000 0.000 0.500
Mg2 0.250 0.250 0.250